# 1
Entry from the Materials Project: an optimized crystal structure of Nd6Fe13Cu (PBE).

abc: 12.7643 12.7643 12.7643
angles: 143.31 143.31 52.86
Last column: nearest neighbours and their distance in Å.
Positions (direct):
1 Nd 0.0230 0.5230 0.1712  4 Fe 2.93-3.28
2 Nd 0.1080 0.1080 0.0000  12 Fe 3.04-3.25, 1 Cu 3.25
3 Nd 0.1481 0.9770 0.5000  4 Fe 2.93-3.28
4 Nd 0.3519 0.8519 0.8288  4 Fe 2.93-3.28
5 Nd 0.3920 0.3920 0.0000  12 Fe 3.04-3.25, 1 Cu 3.25
6 Nd 0.4770 0.6481 0.5000  4 Fe 2.93-3.28
7 Nd 0.5230 0.3519 0.5000  4 Fe 2.93-3.28
8 Nd 0.6080 0.6080 0.0000  12 Fe 3.04-3.25, 1 Cu 3.25
9 Nd 0.6481 0.1481 0.1712  4 Fe 2.93-3.28
10 Nd 0.8519 0.0230 0.5000  4 Fe 2.93-3.28
11 Nd 0.8920 0.8920 0.0000  12 Fe 3.04-3.25, 1 Cu 3.25
12 Nd 0.9770 0.4770 0.8288  4 Fe 2.93-3.28
13 Fe 0.0000 0.5000 0.5000  12 Fe 2.39-2.54
14 Fe 0.0181 0.2904 0.5000  7 Fe 2.50-2.63
15 Fe 0.0675 0.2106 0.2781  10 Fe 2.39-2.63
16 Fe 0.1192 0.6192 0.8576  9 Fe 2.45-2.72
17 Fe 0.2096 0.4819 0.5000  7 Fe 2.50-2.63
18 Fe 0.2106 0.9325 0.1430  10 Fe 2.39-2.63
19 Fe 0.2384 0.7384 0.8576  9 Fe 2.45-2.72
20 Fe 0.2616 0.1192 0.5000  9 Fe 2.45-2.72
21 Fe 0.2894 0.4325 0.7219  10 Fe 2.39-2.63
22 Fe 0.2904 0.7904 0.2723  7 Fe 2.50-2.63
23 Fe 0.3808 0.2384 0.5000  9 Fe 2.45-2.72
24 Fe 0.4325 0.7106 0.1430  10 Fe 2.39-2.63
25 Fe 0.4819 0.9819 0.2723  7 Fe 2.50-2.63
26 Fe 0.5000 0.0000 0.5000  12 Fe 2.39-2.54
27 Fe 0.5181 0.0181 0.7277  7 Fe 2.50-2.63
28 Fe 0.5675 0.2894 0.8570  10 Fe 2.39-2.63
29 Fe 0.6192 0.7616 0.5000  9 Fe 2.45-2.72
30 Fe 0.7096 0.2096 0.7277  7 Fe 2.50-2.63
31 Fe 0.7106 0.5675 0.2781  10 Fe 2.39-2.63
32 Fe 0.7384 0.8808 0.5000  9 Fe 2.45-2.72
33 Fe 0.7616 0.2616 0.1424  9 Fe 2.45-2.72
34 Fe 0.7894 0.0675 0.8570  10 Fe 2.39-2.63
35 Fe 0.7904 0.5181 0.5000  7 Fe 2.50-2.63
36 Fe 0.8808 0.3808 0.1424  9 Fe 2.45-2.72
37 Fe 0.9325 0.7894 0.7219  10 Fe 2.39-2.63
38 Fe 0.9819 0.7096 0.5000  7 Fe 2.50-2.63
39 Cu 0.2500 0.2500 0.0000  10 Nd 3.25-3.33
40 Cu 0.7500 0.7500 0.0000  10 Nd 3.25-3.33

## Properties
Its total moment is 52.5 μB per cell. The calculation puts the calculated volume at 18.44 Å³/atom. As for the space group: I4/mcm (140). The value obtained for the formation energy is 0.005 eV/atom.

=====

# 2
Entry from the Materials Project: an optimized crystal structure of Sr16Ru15O48 (PBE).

abc: 7.8950 7.8995 16.1429
angles: 90.05 90.04 90.03
Last column: nearest neighbours and their distance in Å.
Positions (direct):
1 Sr 0.2249 0.2359 0.1167  7 O 2.52-2.77
2 Sr 0.2291 0.2374 0.8842  8 O 2.55-2.81
3 Sr 0.2356 0.7719 0.1163  7 O 2.50-2.77
4 Sr 0.2372 0.7679 0.8831  8 O 2.54-2.79
5 Sr 0.2504 0.2494 0.6256  7 O 2.53-2.82
6 Sr 0.2500 0.7508 0.3741  8 O 2.56-2.79
7 Sr 0.2508 0.2517 0.3737  8 O 2.57-2.81
8 Sr 0.2510 0.7501 0.6260  7 O 2.55-2.82
9 Sr 0.7490 0.2499 0.3740  7 O 2.55-2.82
10 Sr 0.7492 0.7483 0.6263  8 O 2.57-2.81
11 Sr 0.7500 0.2492 0.6259  8 O 2.56-2.79
12 Sr 0.7496 0.7506 0.3744  7 O 2.53-2.82
13 Sr 0.7628 0.2321 0.1169  8 O 2.54-2.79
14 Sr 0.7644 0.2281 0.8837  7 O 2.50-2.77
15 Sr 0.7709 0.7626 0.1158  8 O 2.55-2.81
16 Sr 0.7751 0.7641 0.8833  7 O 2.52-2.77
17 Ru 0.9997 0.0001 0.2502  6 O 1.88-2.06
18 Ru 0.0000 0.0000 0.5000  6 O 1.97-2.01
19 Ru 0.0003 0.9999 0.7498  6 O 1.88-2.06
20 Ru 0.9999 0.4995 0.7507  6 O 2.00-2.03
21 Ru 0.0000 0.5000 0.0000  6 O 1.91-2.02
22 Ru 0.0000 0.5000 0.5000  6 O 2.01-2.02
23 Ru 0.0001 0.5005 0.2493  6 O 2.00-2.03
24 Ru 0.5000 0.0000 0.0000  6 O 1.90-2.01
25 Ru 0.5000 0.0000 0.2484  6 O 2.00-2.04
26 Ru 0.5000 0.0000 0.5000  6 O 2.01-2.02
27 Ru 0.5000 0.0000 0.7516  6 O 2.00-2.04
28 Ru 0.5000 0.5000 0.0000  6 O 1.98-2.00
29 Ru 0.5001 0.5001 0.2462  6 O 1.98-2.07
30 Ru 0.5000 0.5000 0.5000  6 O 2.01-2.03
31 Ru 0.4999 0.4999 0.7538  6 O 1.98-2.07
32 O 0.0009 0.9982 0.3779  2 Ru 1.97-2.06
33 O 0.0020 0.9988 0.8663  1 Ru 1.88
34 O 0.0075 0.5029 0.3752  2 Ru 2.02-2.03
35 O 0.0095 0.5044 0.8747  2 Ru 2.00-2.02
36 O 0.0259 0.7403 0.0010  1 Ru 1.91
37 O 0.0445 0.7500 0.7472  2 Ru 2.01
38 O 0.0457 0.7502 0.2501  2 Ru 2.01
39 O 0.0464 0.7498 0.5010  2 Ru 2.01
40 O 0.2493 0.0453 0.7478  2 Ru 2.00-2.01
41 O 0.2494 0.4536 0.7468  2 Ru 2.00-2.01
42 O 0.2497 0.0454 0.2506  2 Ru 2.01
43 O 0.2501 0.0465 0.4999  2 Ru 2.01
44 O 0.2502 0.4524 0.2461  2 Ru 2.01
45 O 0.2500 0.4542 0.5025  2 Ru 2.01
46 O 0.2518 0.4596 0.0048  2 Ru 1.99-2.02
47 O 0.2602 0.0237 0.0015  1 Ru 1.90
48 O 0.4528 0.7504 0.2502  2 Ru 2.01
49 O 0.4530 0.7508 0.7499  2 Ru 2.00-2.02
50 O 0.4543 0.7498 0.4998  2 Ru 2.01
51 O 0.4624 0.7482 0.9998  2 Ru 1.98-2.01
52 O 0.4836 0.4991 0.8762  2 Ru 1.98-2.00
53 O 0.4928 0.4984 0.3745  2 Ru 2.03-2.07
54 O 0.4958 0.0027 0.8757  2 Ru 2.00-2.01
55 O 0.4999 0.0007 0.3747  2 Ru 2.02-2.04
56 O 0.5001 0.9993 0.6253  2 Ru 2.02-2.04
57 O 0.5042 0.9973 0.1243  2 Ru 2.00-2.01
58 O 0.5072 0.5016 0.6255  2 Ru 2.03-2.07
59 O 0.5164 0.5009 0.1238  2 Ru 1.98-2.00
60 O 0.5376 0.2518 0.0002  2 Ru 1.98-2.01
61 O 0.5457 0.2502 0.5002  2 Ru 2.01
62 O 0.5470 0.2492 0.2501  2 Ru 2.00-2.02
63 O 0.5472 0.2496 0.7498  2 Ru 2.01
64 O 0.7398 0.9763 0.9985  1 Ru 1.90
65 O 0.7482 0.5404 0.9952  2 Ru 1.99-2.02
66 O 0.7500 0.5458 0.4975  2 Ru 2.01
67 O 0.7498 0.5476 0.7539  2 Ru 2.01
68 O 0.7499 0.9535 0.5001  2 Ru 2.01
69 O 0.7503 0.9546 0.7494  2 Ru 2.01
70 O 0.7506 0.5464 0.2532  2 Ru 2.00-2.01
71 O 0.7507 0.9547 0.2522  2 Ru 2.00-2.01
72 O 0.9536 0.2502 0.4990  2 Ru 2.01
73 O 0.9543 0.2498 0.7499  2 Ru 2.01
74 O 0.9555 0.2500 0.2528  2 Ru 2.01
75 O 0.9741 0.2597 0.9990  1 Ru 1.91
76 O 0.9905 0.4956 0.1253  2 Ru 2.00-2.02
77 O 0.9925 0.4971 0.6248  2 Ru 2.02-2.03
78 O 0.9980 0.0012 0.1337  1 Ru 1.88
79 O 0.9991 0.0018 0.6221  2 Ru 1.97-2.06

## Properties
Its total moment is 27.8 μB per cell. The calculation puts the calculated volume at 12.74 Å³/atom. As for the space group: P-1 (2). The value obtained for the formation energy is -2.181 eV/atom.

=====

# 3
Entry from the Materials Project: an optimized crystal structure of Al2SiO5 (PBE).

abc: 7.8758 7.9794 5.6139
angles: 90.00 90.00 90.00
Last column: nearest neighbours and their distance in Å.
Positions (direct):
1 Al 0.0000 0.0000 0.2418  4 O 1.84-1.91
2 Al 0.0000 0.0000 0.7582  4 O 1.84-1.91
3 Al 0.1294 0.3608 0.0000  5 O 1.83-1.91
4 Al 0.3706 0.8608 0.5000  5 O 1.83-1.91
5 Al 0.5000 0.5000 0.2582  4 O 1.84-1.91
6 Al 0.5000 0.5000 0.7418  4 O 1.84-1.91
7 Al 0.6294 0.1392 0.5000  5 O 1.83-1.91
8 Al 0.8706 0.6392 0.0000  5 O 1.83-1.91
9 Si 0.2458 0.7478 0.0000  4 O 1.64-1.66
10 Si 0.2542 0.2478 0.5000  4 O 1.64-1.66
11 Si 0.7458 0.7522 0.5000  4 O 1.64-1.66
12 Si 0.7542 0.2522 0.0000  4 O 1.64-1.66
13 O 0.0759 0.1364 0.5000  1 Si 1.66
14 O 0.0760 0.1371 0.0000  3 Al 1.83-1.84
15 O 0.1025 0.5993 0.0000  1 Si 1.64
16 O 0.2308 0.8658 0.2397  1 Si 1.65, 1 Al 1.83
17 O 0.2308 0.8658 0.7603  1 Si 1.65, 1 Al 1.83
18 O 0.2692 0.3658 0.2603  1 Si 1.65, 1 Al 1.83
19 O 0.2692 0.3658 0.7397  1 Si 1.65, 1 Al 1.83
20 O 0.3975 0.0993 0.5000  1 Si 1.64
21 O 0.4241 0.6364 0.0000  1 Si 1.66
22 O 0.4240 0.6371 0.5000  3 Al 1.83-1.84
23 O 0.5760 0.3629 0.5000  3 Al 1.83-1.84
24 O 0.5759 0.3636 0.0000  1 Si 1.66
25 O 0.6025 0.9007 0.5000  1 Si 1.64
26 O 0.7308 0.6342 0.2603  1 Si 1.65, 1 Al 1.83
27 O 0.7308 0.6342 0.7397  1 Si 1.65, 1 Al 1.83
28 O 0.7692 0.1342 0.2397  1 Si 1.65, 1 Al 1.83
29 O 0.7692 0.1342 0.7603  1 Si 1.65, 1 Al 1.83
30 O 0.8975 0.4007 0.0000  1 Si 1.64
31 O 0.9240 0.8629 0.0000  3 Al 1.83-1.84
32 O 0.9241 0.8636 0.5000  1 Si 1.66

## Properties
The calculation puts the calculated volume at 11.03 Å³/atom. As for the space group: Pnnm (58). The energy above the most stable polymorph in this dataset comes out at 0 meV per atom. The value obtained for the formation energy is -3.375 eV/atom.

=====

# 4
Entry from the Materials Project: an optimized crystal structure of PtCl2 (PBE).

abc: 4.3844 11.3868 3.4513
angles: 90.00 90.00 90.00
Last column: nearest neighbours and their distance in Å.
Positions (direct):
1 Pt 0.0000 0.0000 0.0000  4 Cl 2.32
2 Pt 0.5000 0.5000 0.5000  4 Cl 2.32
3 Cl 0.1493 0.1239 0.5000  2 Pt 2.32
4 Cl 0.3507 0.6239 0.0000  2 Pt 2.32
5 Cl 0.6493 0.3761 0.0000  2 Pt 2.32
6 Cl 0.8507 0.8761 0.5000  2 Pt 2.32

## Properties
The calculation puts the calculated volume at 28.72 Å³/atom. As for the space group: Pnnm (58). The value obtained for the formation energy is -0.737 eV/atom.

=====

# 5
Entry from the Materials Project: an optimized crystal structure of NdCd2 (PBE).

abc: 5.1131 5.1131 3.4523
angles: 90.00 90.00 120.00
Last column: nearest neighbours and their distance in Å.
Positions (direct):
1 Nd 0.0000 0.0000 0.0000  12 Cd 3.42, 2 Nd 3.45
2 Cd 0.3333 0.6667 0.5000  3 Cd 2.95
3 Cd 0.6667 0.3333 0.5000  3 Cd 2.95

## Properties
The calculation puts the calculated volume at 26.05 Å³/atom. As for the space group: P6/mmm (191). The value obtained for the formation energy is -0.339 eV/atom.

=====

# 6
Entry from the Materials Project: an optimized crystal structure of PmY3 (PBE).

abc: 7.3228 7.3228 5.7899
angles: 90.00 90.00 120.00
Last column: nearest neighbours and their distance in Å.
Positions (direct):
1 Pm 0.3333 0.6667 0.2500  12 Y 3.59-3.66
2 Pm 0.6667 0.3333 0.7500  12 Y 3.59-3.66
3 Y 0.1660 0.3320 0.7500  8 Y 3.58-3.68, 4 Pm 3.59-3.66
4 Y 0.1660 0.8340 0.7500  8 Y 3.58-3.68, 4 Pm 3.59-3.66
5 Y 0.3320 0.1660 0.2500  8 Y 3.58-3.68, 4 Pm 3.59-3.66
6 Y 0.6680 0.8340 0.7500  8 Y 3.58-3.68, 4 Pm 3.59-3.66
7 Y 0.8340 0.1660 0.2500  8 Y 3.58-3.68, 4 Pm 3.59-3.66
8 Y 0.8340 0.6680 0.2500  8 Y 3.58-3.68, 4 Pm 3.59-3.66

## Properties
The calculation puts the calculated volume at 33.61 Å³/atom. As for the space group: P6_3/mmc (194). The energy above the most stable polymorph in this dataset comes out at 0 meV per atom. The value obtained for the formation energy is 0.013 eV/atom.

=====

# 7
Entry from the Materials Project: an optimized crystal structure of CoSiMo (PBE).

abc: 7.4524 4.7707 4.7707
angles: 61.10 90.00 90.00
Last column: nearest neighbours and their distance in Å.
Positions (direct):
1 Co 0.0000 0.2430 0.7570  2 Si 2.33-2.44, 4 Co 2.36-2.49
2 Co 0.0000 0.7570 0.2430  2 Si 2.33-2.44, 4 Co 2.36-2.49
3 Co 0.2624 0.5972 0.5972  4 Si 2.25-2.35, 2 Co 2.45
4 Co 0.7376 0.5972 0.5972  4 Si 2.25-2.35, 2 Co 2.45
5 Si 0.0000 0.7556 0.7556  6 Co 2.33-2.44
6 Si 0.5000 0.4274 0.4274  2 Co 2.25, 4 Si 2.34-2.43
7 Si 0.5000 0.4294 0.9361  2 Co 2.27, 4 Si 2.34-2.46
8 Si 0.5000 0.9361 0.4294  2 Co 2.27, 4 Si 2.34-2.46
9 Mo 0.1873 0.2657 0.2657  5 Si 2.68-2.80, 7 Co 2.68-2.85, 4 Mo 2.79-2.95
10 Mo 0.3168 0.9335 0.9335  5 Co 2.69-2.80, 4 Mo 2.73-2.95, 7 Si 2.74-2.78
11 Mo 0.6832 0.9335 0.9335  5 Co 2.69-2.80, 4 Mo 2.73-2.95, 7 Si 2.74-2.78
12 Mo 0.8127 0.2657 0.2657  5 Si 2.68-2.80, 7 Co 2.68-2.85, 4 Mo 2.79-2.95

## Properties
Its total moment is 0.0 μB per cell. The calculation puts the calculated volume at 12.37 Å³/atom. As for the space group: Amm2 (38). The value obtained for the formation energy is -0.353 eV/atom.

=====

# 8
Entry from the Materials Project: an optimized crystal structure of K2GaOF5 (PBE).

abc: 6.2992 6.2992 8.0594
angles: 93.54 93.54 75.60
Last column: nearest neighbours and their distance in Å.
Positions (direct):
1 K 0.1934 0.2037 0.0332  7 F 2.67-2.92
2 K 0.2037 0.1934 0.5332  7 F 2.67-2.92
3 K 0.7963 0.8066 0.4668  7 F 2.67-2.92
4 K 0.8066 0.7963 0.9668  7 F 2.67-2.92
5 Ga 0.2953 0.7047 0.2500  5 F 1.89-1.91, 1 O 2.11
6 Ga 0.7047 0.2953 0.7500  5 F 1.89-1.91, 1 O 2.11
7 O 0.4308 0.5692 0.7500  1 Ga 2.11
8 O 0.5692 0.4308 0.2500  1 Ga 2.11
9 F 0.0503 0.9497 0.2500  1 Ga 1.89
10 F 0.1346 0.5027 0.3108  1 Ga 1.91
11 F 0.2400 0.6204 0.0234  1 Ga 1.91
12 F 0.3796 0.7600 0.4766  1 Ga 1.91
13 F 0.4973 0.8654 0.1892  1 Ga 1.91
14 F 0.5027 0.1346 0.8108  1 Ga 1.91
15 F 0.6204 0.2400 0.5234  1 Ga 1.91
16 F 0.7600 0.3796 0.9766  1 Ga 1.91
17 F 0.8654 0.4973 0.6892  1 Ga 1.91
18 F 0.9497 0.0503 0.7500  1 Ga 1.89

## Properties
Its total moment is 4.0 μB per cell. The calculation puts the calculated volume at 17.16 Å³/atom. As for the space group: C2/c (15). The value obtained for the formation energy is -2.471 eV/atom.